# Mg2V3CrS8 PBE optimized geometry
# Volume ... 269 Å³/cell
# Energy relative to the elements ... -1.246 eV/atom
# SG ... P-1
# Energy with MP2020 corrections ... -90.65 eV/cell
data_Mg2V3CrS8
_chemical_formula_sum 'Mg2 V3 Cr1 S8'
_symmetry_space_group_name_H-M 'P 1'
_symmetry_Int_Tables_number 1
_cell_length_a 7.178
_cell_length_b 7.198
_cell_length_c 7.293
_cell_angle_alpha 60.58
_cell_angle_beta 60.62
_cell_angle_gamma 60.16
loop_
_symmetry_equiv_pos_as_xyz
'x,y,z'
loop_
_atom_site_label
_atom_site_fract_x
_atom_site_fract_y
_atom_site_fract_z
Mg1 0.125 0.125 0.124
Mg2 0.875 0.875 0.876
V1 0.000 0.500 0.500
V2 0.500 0.000 0.500
V3 0.500 0.500 0.500
Cr1 0.500 0.500 0.000
S1 0.261 0.261 0.716
S2 0.263 0.264 0.260
S3 0.264 0.713 0.259
S4 0.286 0.735 0.741
S5 0.714 0.265 0.259
S6 0.736 0.287 0.741
S7 0.737 0.736 0.740
S8 0.739 0.739 0.284